[1]
{
  "formula": "La3Ni2O6",
  "functional": "GGA+U",
  "state": "optimized geometry",
  "e_tot_ev_per_atom": -7.031,
  "formation_enthalpy_0k_ev_per_atom": -2.772,
  "crystal_system": "tetragonal",
  "cell": [[-1.997, 1.997, 9.680], [1.997, -1.997, 9.680], [1.997, 1.997, -9.680]],
  "species": ["La", "La", "La", "Ni", "Ni", "O", "O", "O", "O", "O", "O"],
  "frac_coords": [[0.000, 0.000, 0.000], [0.184, 0.184, 0.000], [0.816, 0.816, 0.000], [0.417, 0.417, 0.000], [0.583, 0.583, 0.000], [0.083, 0.583, 0.500], [0.250, 0.750, 0.500], [0.417, 0.917, 0.500], [0.583, 0.083, 0.500], [0.750, 0.250, 0.500], [0.917, 0.417, 0.500]]
}

---

[2]
{
  "formula": "NiH2O2",
  "functional": "GGA+U",
  "state": "optimized geometry",
  "e_tot_ev_per_atom": -4.949,
  "formation_enthalpy_0k_ev_per_atom": -1.240,
  "e_above_lowest_polymorph_ev_per_atom": 0.0055,
  "crystal_system": "monoclinic",
  "cell": [[2.727, -1.587, 0.000], [2.727, 1.587, 0.000], [-0.306, 0.000, 4.609]],
  "species": ["Ni", "H", "H", "O", "O"],
  "frac_coords": [[0.000, 0.000, 0.000], [0.308, 0.308, 0.568], [0.692, 0.692, 0.432], [0.319, 0.319, 0.779], [0.681, 0.681, 0.221]]
}

---

[3]
{
  "formula": "Li4Cu3Ni2Sb3O16",
  "functional": "GGA+U",
  "state": "optimized geometry",
  "e_tot_ev_per_atom": -5.418,
  "formation_enthalpy_0k_ev_per_atom": -1.598,
  "crystal_system": "monoclinic",
  "cell": [[5.233, -3.024, 0.000], [5.233, 3.024, 0.000], [-0.215, 0.000, 9.722]],
  "species": ["Li", "Li", "Li", "Li", "Cu", "Cu", "Cu", "Ni", "Ni", "Sb", "Sb", "Sb", "O", "O", "O", "O", "O", "O", "O", "O", "O", "O", "O", "O", "O", "O", "O", "O"],
  "frac_coords": [[0.000, 0.000, 0.000], [0.014, 0.014, 0.513], [0.358, 0.358, 0.406], [0.694, 0.694, 0.888], [0.195, 0.689, 0.724], [0.689, 0.195, 0.724], [0.858, 0.858, 0.227], [0.371, 0.371, 0.988], [0.696, 0.696, 0.512], [0.197, 0.197, 0.725], [0.364, 0.858, 0.224], [0.858, 0.364, 0.224], [0.028, 0.028, 0.820], [0.035, 0.035, 0.330], [0.064, 0.508, 0.848], [0.181, 0.181, 0.109], [0.191, 0.708, 0.113], [0.343, 0.875, 0.608], [0.359, 0.359, 0.617], [0.507, 0.507, 0.839], [0.508, 0.064, 0.848], [0.539, 0.991, 0.344], [0.542, 0.542, 0.344], [0.683, 0.683, 0.108], [0.708, 0.191, 0.113], [0.865, 0.865, 0.616], [0.875, 0.343, 0.608], [0.991, 0.539, 0.344]]
}

---

[4]
{
  "formula": "Li5Fe8B8O24",
  "functional": "GGA+U",
  "state": "optimized geometry",
  "e_tot_ev_per_atom": -7.064,
  "formation_enthalpy_0k_ev_per_atom": -2.287,
  "e_above_lowest_polymorph_ev_per_atom": 0.0043,
  "crystal_system": "triclinic",
  "cell": [[5.257, 0.000, 0.000], [-0.027, 9.090, 0.000], [-2.621, -4.472, 10.098]],
  "species": ["Li", "Li", "Li", "Li", "Li", "Fe", "Fe", "Fe", "Fe", "Fe", "Fe", "Fe", "Fe", "B", "B", "B", "B", "B", "B", "B", "B", "O", "O", "O", "O", "O", "O", "O", "O", "O", "O", "O", "O", "O", "O", "O", "O", "O", "O", "O", "O", "O", "O", "O", "O"],
  "frac_coords": [[0.000, 0.000, 0.000], [0.023, 0.032, 0.737], [0.216, 0.263, 0.500], [0.504, 0.502, 0.002], [0.707, 0.757, 0.494], [0.195, 0.911, 0.462], [0.243, 0.607, 0.217], [0.479, 0.811, 0.961], [0.500, 0.202, 0.718], [0.688, 0.404, 0.464], [0.744, 0.105, 0.217], [0.981, 0.316, 0.967], [0.997, 0.678, 0.715], [0.202, 0.569, 0.464], [0.247, 0.936, 0.209], [0.465, 0.150, 0.962], [0.491, 0.857, 0.711], [0.702, 0.068, 0.463], [0.747, 0.436, 0.211], [0.966, 0.648, 0.964], [0.999, 0.352, 0.710], [0.066, 0.755, 0.917], [0.080, 0.045, 0.192], [0.138, 0.552, 0.008], [0.177, 0.826, 0.255], [0.196, 0.129, 0.945], [0.244, 0.344, 0.691], [0.311, 0.676, 0.421], [0.320, 0.437, 0.463], [0.355, 0.970, 0.677], [0.365, 0.761, 0.755], [0.464, 0.101, 0.495], [0.483, 0.931, 0.173], [0.574, 0.268, 0.933], [0.583, 0.549, 0.199], [0.630, 0.050, 0.006], [0.679, 0.326, 0.258], [0.710, 0.643, 0.967], [0.751, 0.838, 0.700], [0.819, 0.171, 0.418], [0.830, 0.943, 0.477], [0.848, 0.466, 0.677], [0.896, 0.250, 0.756], [0.970, 0.605, 0.509], [0.985, 0.432, 0.176]]
}

---

[5]
{
  "formula": "Fe3P4H12O20",
  "functional": "GGA+U",
  "state": "optimized geometry",
  "e_tot_ev_per_atom": -6.139,
  "formation_enthalpy_0k_ev_per_atom": -1.877,
  "crystal_system": "monoclinic",
  "cell": [[5.208, 0.000, 0.000], [0.000, 17.077, 0.000], [-5.022, 0.000, 8.843]],
  "species": ["Fe", "Fe", "Fe", "Fe", "Fe", "Fe", "P", "P", "P", "P", "P", "P", "P", "P", "H", "H", "H", "H", "H", "H", "H", "H", "H", "H", "H", "H", "H", "H", "H", "H", "H", "H", "H", "H", "H", "H", "H", "H", "O", "O", "O", "O", "O", "O", "O", "O", "O", "O", "O", "O", "O", "O", "O", "O", "O", "O", "O", "O", "O", "O", "O", "O", "O", "O", "O", "O", "O", "O", "O", "O", "O", "O", "O", "O", "O", "O", "O", "O"],
  "frac_coords": [[0.000, 0.000, 0.000], [0.000, 0.500, 0.500], [0.121, 0.203, 0.372], [0.121, 0.297, 0.872], [0.879, 0.703, 0.128], [0.879, 0.797, 0.628], [0.249, 0.695, 0.504], [0.249, 0.805, 0.004], [0.454, 0.581, 0.193], [0.454, 0.919, 0.693], [0.546, 0.081, 0.307], [0.546, 0.419, 0.807], [0.751, 0.195, 0.996], [0.751, 0.305, 0.496], [0.002, 0.618, 0.660], [0.002, 0.882, 0.160], [0.180, 0.055, 0.804], [0.180, 0.445, 0.304], [0.225, 0.504, 0.993], [0.225, 0.996, 0.493], [0.316, 0.201, 0.676], [0.316, 0.299, 0.176], [0.383, 0.586, 0.428], [0.383, 0.914, 0.928], [0.420, 0.704, 0.858], [0.420, 0.796, 0.358], [0.580, 0.204, 0.642], [0.580, 0.296, 0.142], [0.617, 0.086, 0.072], [0.617, 0.414, 0.572], [0.684, 0.701, 0.824], [0.684, 0.799, 0.324], [0.775, 0.004, 0.507], [0.775, 0.496, 0.007], [0.820, 0.555, 0.696], [0.820, 0.945, 0.196], [0.998, 0.118, 0.840], [0.998, 0.382, 0.340], [0.006, 0.061, 0.815], [0.006, 0.439, 0.315], [0.055, 0.701, 0.578], [0.055, 0.799, 0.078], [0.117, 0.738, 0.351], [0.117, 0.762, 0.851], [0.209, 0.642, 0.146], [0.209, 0.858, 0.646], [0.255, 0.602, 0.476], [0.255, 0.898, 0.976], [0.307, 0.109, 0.342], [0.307, 0.391, 0.842], [0.314, 0.501, 0.103], [0.314, 0.999, 0.603], [0.379, 0.182, 0.604], [0.379, 0.318, 0.104], [0.419, 0.055, 0.140], [0.419, 0.445, 0.640], [0.432, 0.221, 0.889], [0.432, 0.279, 0.389], [0.568, 0.721, 0.611], [0.568, 0.779, 0.111], [0.581, 0.555, 0.360], [0.581, 0.945, 0.860], [0.621, 0.682, 0.896], [0.621, 0.818, 0.396], [0.686, 0.001, 0.397], [0.686, 0.499, 0.897], [0.693, 0.609, 0.158], [0.693, 0.891, 0.658], [0.745, 0.102, 0.024], [0.745, 0.398, 0.524], [0.791, 0.142, 0.354], [0.791, 0.358, 0.854], [0.883, 0.238, 0.149], [0.883, 0.262, 0.649], [0.945, 0.201, 0.922], [0.945, 0.299, 0.422], [0.994, 0.561, 0.685], [0.994, 0.939, 0.185]]
}

---

[6]
{
  "formula": "Li2CrH4O6",
  "functional": "GGA+U",
  "state": "optimized geometry",
  "e_tot_ev_per_atom": -5.590,
  "formation_enthalpy_0k_ev_per_atom": -1.697,
  "e_ij_max_c_m2": 0.35,
  "crystal_system": "orthorhombic",
  "cell": [[5.603, 0.000, 0.000], [0.000, 7.785, 0.000], [0.000, 0.000, 12.135]],
  "species": ["Li", "Li", "Li", "Li", "Li", "Li", "Li", "Li", "Cr", "Cr", "Cr", "Cr", "H", "H", "H", "H", "H", "H", "H", "H", "H", "H", "H", "H", "H", "H", "H", "H", "O", "O", "O", "O", "O", "O", "O", "O", "O", "O", "O", "O", "O", "O", "O", "O", "O", "O", "O", "O", "O", "O", "O", "O"],
  "frac_coords": [[0.080, 0.204, 0.001], [0.177, 0.138, 0.372], [0.323, 0.862, 0.872], [0.420, 0.796, 0.501], [0.580, 0.296, 0.999], [0.677, 0.362, 0.628], [0.823, 0.638, 0.128], [0.920, 0.704, 0.499], [0.176, 0.118, 0.635], [0.324, 0.882, 0.135], [0.676, 0.382, 0.365], [0.824, 0.618, 0.865], [0.165, 0.715, 0.314], [0.175, 0.671, 0.688], [0.239, 0.515, 0.614], [0.247, 0.549, 0.374], [0.253, 0.451, 0.874], [0.261, 0.485, 0.114], [0.325, 0.329, 0.188], [0.335, 0.285, 0.814], [0.665, 0.785, 0.686], [0.675, 0.829, 0.312], [0.739, 0.985, 0.386], [0.747, 0.951, 0.626], [0.753, 0.049, 0.126], [0.761, 0.015, 0.886], [0.825, 0.171, 0.812], [0.835, 0.215, 0.186], [0.117, 0.657, 0.849], [0.170, 0.698, 0.138], [0.199, 0.670, 0.388], [0.201, 0.640, 0.610], [0.222, 0.017, 0.515], [0.234, 0.003, 0.237], [0.266, 0.997, 0.737], [0.278, 0.983, 0.015], [0.299, 0.360, 0.110], [0.301, 0.330, 0.888], [0.330, 0.302, 0.638], [0.383, 0.343, 0.349], [0.617, 0.843, 0.151], [0.670, 0.802, 0.862], [0.699, 0.830, 0.612], [0.701, 0.860, 0.390], [0.722, 0.483, 0.485], [0.734, 0.497, 0.763], [0.766, 0.503, 0.263], [0.778, 0.517, 0.985], [0.799, 0.140, 0.890], [0.801, 0.170, 0.112], [0.830, 0.198, 0.362], [0.883, 0.157, 0.651]]
}